1.
Computed, not measured: Ti2ZnS4 after structural relaxation at the PBE-GGA level of DFT.

Summary:
energy of formation = -1.349 eV per atom
size of the total moment = 0.4 μB per cell
corrected total energy (MP2020 scheme) = -6.148 eV/atom
E_tot = -5.86 eV/atom

abc: 7.070 7.164 9.907
angles: 90.00 90.00 90.00
Space group Imma (No. 74)
Asymmetric unit:
Ti1 0.000 0.000 0.000 x4
Ti2 0.250 0.250 0.250 x4
Zn1 0.250 0.250 0.750 x4
S1 0.000 0.004 0.249 x8
S2 0.242 0.250 0.999 x8

2.
Computed, not measured: CaSnF5 after structural relaxation at the PBE-GGA level of DFT.

Summary:
energy of formation = -3.255 eV per atom
size of the total moment = 0.0 μB per cell
corrected total energy (MP2020 scheme) = -5.482 eV/atom
E_tot = -5.15 eV/atom

abc: 5.866 10.791 8.228
angles: 90.00 110.16 90.00
Space group P2_1/c (No. 14)
Asymmetric unit:
Ca1 0.026 0.017 0.253 x4
Sn1 0.397 0.246 0.601 x4
F1 0.099 0.110 0.555 x4
F2 0.130 0.104 0.000 x4
F3 0.309 0.630 0.355 x4
F4 0.339 0.197 0.335 x4
F5 0.363 0.595 0.806 x4